Record 1
The following is a DFT calculation (GGA-PBE) of crystalline Zr2CS at its relaxed geometry. Values from VASP.

## Properties
crystal system = hexagonal
formation energy = -1.46 eV/atom

```
&SYSTEM
  ibrav = 0, nat = 8, ntyp = 3
/
ATOMIC_SPECIES
Zr 91.22 Zr.upf
C 12.01 C.upf
S 32.06 S.upf
ATOMIC_POSITIONS angstrom
Zr -2.502 -3.164 -6.470
Zr 0.713 0.412 -2.185
Zr -1.273 -0.593 -5.090
Zr -4.488 -4.169 -9.375
C -3.326 -1.683 -4.864
C 0.000 0.000 0.000
S -3.606 -1.774 -8.501
S -0.169 -1.983 -3.059
CELL_PARAMETERS angstrom
1.271 2.643 -1.784
1.606 -3.034 -0.048
-6.652 -3.367 -9.728
```

***

Record 2
The following is a DFT calculation (GGA-PBE) of crystalline Cd3B at its relaxed geometry. Values from VASP.

## Properties
crystal system = tetragonal
formation energy = 0.85 eV/atom

```
&SYSTEM
  ibrav = 0, nat = 4, ntyp = 2
/
ATOMIC_SPECIES
Cd 112.41 Cd.upf
B 10.81 B.upf
ATOMIC_POSITIONS angstrom
Cd 0.000 2.051 2.215
Cd 2.051 0.000 2.215
Cd 0.000 0.000 4.430
B 0.000 0.000 0.000
CELL_PARAMETERS angstrom
-2.051 2.051 4.430
2.051 -2.051 4.430
2.051 2.051 -4.430
```

***

Record 3
The following is a DFT calculation (GGA-PBE) of crystalline NaTaO3 at its relaxed geometry. Values from VASP.

## Properties
crystal system = triclinic
formation energy = -2.97 eV/atom

```
&SYSTEM
  ibrav = 0, nat = 40, ntyp = 3
/
ATOMIC_SPECIES
Na 22.99 Na.upf
Ta 180.95 Ta.upf
O 16.00 O.upf
ATOMIC_POSITIONS angstrom
Na 2.297 6.077 10.838
Na 7.698 3.206 9.024
Na 5.666 5.977 9.175
Na 4.538 3.038 7.561
Na 1.267 2.912 13.281
Na 4.467 3.016 11.326
Na 4.370 3.161 14.843
Na 4.500 3.419 18.274
Ta 6.634 0.181 18.481
Ta 2.205 6.028 7.392
Ta 5.480 6.029 5.689
Ta 5.388 6.042 12.725
Ta 6.642 0.155 14.776
Ta 3.992 0.133 12.583
Ta 7.694 3.055 5.670
Ta 7.583 3.020 12.665
O 1.944 4.126 3.388
O 2.102 4.619 8.791
O 4.639 0.398 3.417
O 2.679 1.967 8.978
O 4.126 5.603 7.303
O 0.509 0.560 12.945
O 4.858 0.613 8.082
O 5.989 4.088 5.836
O 1.946 4.248 15.336
O 4.324 0.421 10.763
O 6.970 1.904 7.272
O 4.510 5.529 11.147
O 3.344 1.830 13.064
O 2.781 2.020 16.792
O 3.945 5.682 14.081
O 6.984 2.422 11.023
O 8.104 5.456 9.490
O 4.662 0.456 15.322
O 6.033 4.187 12.979
O 6.954 2.036 14.242
O 5.365 4.531 16.583
O 4.044 5.776 19.269
O 6.864 2.029 19.134
O 8.036 5.780 16.750
CELL_PARAMETERS angstrom
6.592 0.025 3.724
2.199 6.035 3.763
0.065 0.143 14.784
```

***

Record 4
The following is a DFT calculation (GGA-PBE) of crystalline RbMg6GaO8 at its relaxed geometry. Values from VASP.

## Properties
relative energy among the computed polymorphs = 67 meV/atom
crystal system = tetragonal
formation energy = -2.34 eV/atom

```
&SYSTEM
  ibrav = 0, nat = 16, ntyp = 4
/
ATOMIC_SPECIES
Rb 85.47 Rb.upf
Mg 24.30 Mg.upf
Ga 69.72 Ga.upf
O 16.00 O.upf
ATOMIC_POSITIONS angstrom
Rb 0.000 0.000 0.000
Mg -1.603 -2.150 -3.498
Mg -2.345 -4.638 -1.629
Mg -2.643 -1.722 -0.603
Mg -4.191 -3.798 -3.981
Mg 0.243 -2.990 -1.146
Mg -1.305 -5.067 -4.523
Ga -0.742 -2.488 1.869
O -0.902 -1.210 -1.969
O -2.303 -3.090 -5.027
O -1.514 -3.524 0.184
O -3.175 -5.752 -3.441
O -1.814 -0.610 1.206
O -3.417 -2.760 -2.292
O 1.072 -1.878 0.663
O -0.531 -4.028 -2.834
CELL_PARAMETERS angstrom
-3.206 -4.301 -6.996
2.144 -3.756 1.327
-3.628 -1.219 2.412
```

***

Repeat the third record exactly.
The following is a DFT calculation (GGA-PBE) of crystalline NaTaO3 at its relaxed geometry. Values from VASP.

## Properties
crystal system = triclinic
formation energy = -2.97 eV/atom

```
&SYSTEM
  ibrav = 0, nat = 40, ntyp = 3
/
ATOMIC_SPECIES
Na 22.99 Na.upf
Ta 180.95 Ta.upf
O 16.00 O.upf
ATOMIC_POSITIONS angstrom
Na 2.297 6.077 10.838
Na 7.698 3.206 9.024
Na 5.666 5.977 9.175
Na 4.538 3.038 7.561
Na 1.267 2.912 13.281
Na 4.467 3.016 11.326
Na 4.370 3.161 14.843
Na 4.500 3.419 18.274
Ta 6.634 0.181 18.481
Ta 2.205 6.028 7.392
Ta 5.480 6.029 5.689
Ta 5.388 6.042 12.725
Ta 6.642 0.155 14.776
Ta 3.992 0.133 12.583
Ta 7.694 3.055 5.670
Ta 7.583 3.020 12.665
O 1.944 4.126 3.388
O 2.102 4.619 8.791
O 4.639 0.398 3.417
O 2.679 1.967 8.978
O 4.126 5.603 7.303
O 0.509 0.560 12.945
O 4.858 0.613 8.082
O 5.989 4.088 5.836
O 1.946 4.248 15.336
O 4.324 0.421 10.763
O 6.970 1.904 7.272
O 4.510 5.529 11.147
O 3.344 1.830 13.064
O 2.781 2.020 16.792
O 3.945 5.682 14.081
O 6.984 2.422 11.023
O 8.104 5.456 9.490
O 4.662 0.456 15.322
O 6.033 4.187 12.979
O 6.954 2.036 14.242
O 5.365 4.531 16.583
O 4.044 5.776 19.269
O 6.864 2.029 19.134
O 8.036 5.780 16.750
CELL_PARAMETERS angstrom
6.592 0.025 3.724
2.199 6.035 3.763
0.065 0.143 14.784
```